No. 1
Fe4O3F5 | GGA+U | optimized geometry

Lattice parameters (Å, degrees): 4.7626 4.7704 12.5599 91.25 90.41 91.42
Closest atoms and distances in Å follow each position.
Fractional positions:
F1 0.1886 0.8060 0.6287  3 Fe 2.06-2.14
Fe1 0.0000 0.0000 0.5000  2 O 1.91, 4 F 2.07-2.09
F2 0.2832 0.2933 0.7526  2 Fe 2.03-2.10
Fe2 0.0169 0.0349 0.2407  2 O 1.91-1.92, 4 F 2.04-2.13
Fe3 0.5193 0.4606 0.1343  2 O 1.92, 3 F 2.03-2.13
O1 0.3170 0.3078 0.2525  3 Fe 1.91-2.04
F3 0.8090 0.1872 0.6302  3 Fe 2.07-2.13
O2 0.7125 0.7127 0.4952  3 Fe 1.91-2.00
Fe4 0.9831 0.9651 0.7593  2 O 1.91-1.92, 4 F 2.04-2.13
F4 0.3192 0.3200 0.9990  3 Fe 2.04-2.13
O3 0.8142 0.1946 0.1254  3 Fe 1.92-2.03
F5 0.7821 0.2104 0.8686  3 Fe 2.04-2.22
F6 0.6808 0.6800 0.0010  3 Fe 2.04-2.13
O4 0.2875 0.2873 0.5048  3 Fe 1.91-2.00
F7 0.8114 0.1940 0.3713  3 Fe 2.06-2.14
Fe5 0.4807 0.5394 0.8657  2 O 1.92, 3 F 2.03-2.13
O5 0.6830 0.6922 0.7475  3 Fe 1.91-2.04
Fe6 0.5184 0.5114 0.6114  3 O 1.99-2.04, 2 F 2.12-2.14
F8 0.1910 0.8128 0.3698  3 Fe 2.07-2.13
O6 0.1858 0.8054 0.8746  3 Fe 1.92-2.03
Fe7 0.0000 0.0000 0.0000  2 O 2.03, 4 F 2.13-2.22
F9 0.7168 0.7067 0.2474  2 Fe 2.03-2.10
Fe8 0.4816 0.4886 0.3886  3 O 1.99-2.04, 2 F 2.12-2.14
F10 0.2179 0.7896 0.1314  3 Fe 2.04-2.22

Total moment = 1.58 μB/atom
SG = P-1
Offset from the most stable computed form = 0.072 eV/atom

No. 2
Rb2NiF4 | GGA+U | optimized geometry

Lattice parameters (Å, degrees): 7.5321 7.5321 7.5321 147.93 147.93 45.98
Closest atoms and distances in Å follow each position.
Fractional positions:
Ni1 0.0000 0.0000 0.0000  6 F 2.03-2.08
F1 0.0000 0.5000 0.5000  2 Ni 2.08
F2 0.8539 0.8539 0.0000  1 Ni 2.03
Rb1 0.3540 0.3540 0.0000  9 F 2.88-2.94
F3 0.5000 0.0000 0.5000  2 Ni 2.08
F4 0.1461 0.1461 0.0000  1 Ni 2.03
Rb2 0.6460 0.6460 0.0000  9 F 2.88-2.94

SG = I4/mmm

No. 3
PW6O20 | GGA+U | optimized geometry

Lattice parameters (Å, degrees): 5.3920 6.6723 42.9833 90.00 90.00 90.00
Closest atoms and distances in Å follow each position.
Fractional positions:
O1 0.4777 0.6081 0.6833  2 W 1.87-2.01
O2 0.4738 0.2780 0.6078  2 W 1.89-1.97
O3 0.0430 0.5671 0.5767  2 W 1.90-1.96
W1 0.2444 0.2453 0.0541  6 O 1.91-1.98
O4 0.7549 0.9160 0.4815  2 W 1.91-1.94
O5 0.9799 0.5729 0.6875  2 W 1.86-2.02
W2 0.2556 0.7547 0.5541  6 O 1.91-1.98
O6 0.4718 0.9429 0.5343  2 W 1.91-1.94
O7 0.5223 0.1081 0.8167  2 W 1.87-2.01
W3 0.2455 0.5768 0.1999  6 O 1.85-2.06
O8 0.0415 0.8867 0.4285  2 W 1.90-1.96
O9 0.7598 0.2564 0.5551  2 W 1.89-1.96
O10 0.7416 0.7610 0.8350  2 W 1.85-2.00
W4 0.7576 0.7615 0.6637  6 O 1.85-2.05
O11 0.2541 0.9237 0.5919  2 W 1.87-1.98
W5 0.7584 0.4249 0.5904  6 O 1.89-2.02
O12 0.7574 0.5900 0.6298  2 W 1.85-2.02
W6 0.2424 0.2615 0.8363  6 O 1.85-2.05
O13 0.4570 0.4329 0.0767  2 W 1.90-1.96
O14 0.0486 0.2395 0.2836  1 P 1.54
O15 0.7459 0.4237 0.9081  2 W 1.87-1.98
W7 0.2460 0.9069 0.1265  6 O 1.87-2.00
P1 0.2370 0.6163 0.7761  4 O 1.54
O16 0.5262 0.7780 0.8922  2 W 1.89-1.97
O17 0.4656 0.4424 0.8547  2 W 1.88-1.99
O18 0.0223 0.3919 0.1833  2 W 1.87-2.01
O19 0.4704 0.2651 0.3869  2 W 1.89-1.97
W8 0.2545 0.4232 0.6999  6 O 1.85-2.06
O20 0.9656 0.0576 0.1453  2 W 1.88-1.99
W9 0.7540 0.4069 0.3735  6 O 1.87-2.00
O21 0.7539 0.0742 0.2038  1 P 1.54
O22 0.5344 0.9424 0.6453  2 W 1.88-1.99
O23 0.0173 0.2181 0.7196  1 P 1.54
O24 0.2451 0.4160 0.0185  2 W 1.91-1.94
O25 0.0291 0.3964 0.9607  2 W 1.91-1.94
W10 0.2540 0.0931 0.6265  6 O 1.87-2.00
O26 0.9718 0.5571 0.4657  2 W 1.91-1.94
O27 0.7398 0.0551 0.7584  1 P 1.54
O28 0.7461 0.9258 0.7038  1 P 1.54
O29 0.5296 0.7651 0.1131  2 W 1.89-1.97
O30 0.2398 0.4449 0.2416  1 P 1.54
O31 0.0296 0.7349 0.8869  2 W 1.89-1.97
O32 0.4633 0.0943 0.1504  2 W 1.88-2.00
O33 0.9514 0.7395 0.2164  1 P 1.54
O34 0.2461 0.5742 0.2962  1 P 1.54
O35 0.0367 0.9057 0.6504  2 W 1.88-2.00
O36 0.5486 0.2605 0.7164  1 P 1.54
O37 0.2602 0.5551 0.7416  1 P 1.54
O38 0.9704 0.2349 0.6131  2 W 1.89-1.97
O39 0.2416 0.7390 0.1650  2 W 1.85-2.00
O40 0.7541 0.5763 0.4081  2 W 1.87-1.98
O41 0.9827 0.7181 0.7804  1 P 1.54
O42 0.5415 0.6133 0.5715  2 W 1.90-1.96
O43 0.5418 0.2745 0.4978  2 W 1.92
O44 0.2539 0.4258 0.7962  1 P 1.54
O45 0.2549 0.5840 0.5185  2 W 1.91-1.94
W11 0.7460 0.5931 0.8735  6 O 1.87-2.00
W12 0.7556 0.7453 0.4459  6 O 1.91-1.98
O46 0.7402 0.7436 0.0551  2 W 1.89-1.96
O47 0.4582 0.7745 0.0022  2 W 1.92
W13 0.2576 0.7385 0.3363  6 O 1.85-2.05
W14 0.7430 0.9147 0.0181  6 O 1.92-1.96
O48 0.0418 0.2255 0.5022  2 W 1.92
O49 0.2584 0.2610 0.6650  2 W 1.85-2.00
O50 0.2426 0.0900 0.8702  2 W 1.85-2.02
O51 0.4514 0.7605 0.7836  1 P 1.54
W15 0.2584 0.0751 0.4096  6 O 1.89-2.02
O52 0.7584 0.2390 0.3350  2 W 1.85-2.00
O53 0.0201 0.0729 0.8125  2 W 1.86-2.02
O54 0.4709 0.6036 0.4607  2 W 1.91-1.94
W16 0.7424 0.2385 0.1637  6 O 1.85-2.05
W17 0.7416 0.5751 0.0904  6 O 1.89-2.02
W18 0.7570 0.0853 0.5181  6 O 1.92-1.96
W19 0.2570 0.4147 0.4819  6 O 1.92-1.96
O55 0.0344 0.5576 0.3547  2 W 1.88-1.99
O56 0.9570 0.0671 0.9233  2 W 1.90-1.96
O57 0.0282 0.0571 0.0343  2 W 1.91-1.94
O58 0.2598 0.2436 0.4449  2 W 1.89-1.96
O59 0.7451 0.0840 0.9815  2 W 1.91-1.94
O60 0.9738 0.2220 0.3922  2 W 1.89-1.97
W20 0.2430 0.5853 0.9819  6 O 1.92-1.96
W21 0.7545 0.0768 0.3001  6 O 1.85-2.06
O61 0.9633 0.4057 0.8496  2 W 1.88-2.00
O62 0.9585 0.3867 0.0715  2 W 1.90-1.96
O63 0.5201 0.4271 0.1875  2 W 1.86-2.02
O64 0.7602 0.9449 0.2584  1 P 1.54
O65 0.7426 0.4100 0.1298  2 W 1.85-2.02
O66 0.9709 0.8964 0.5393  2 W 1.91-1.94
O67 0.5430 0.9329 0.4233  2 W 1.90-1.96
O68 0.2574 0.9100 0.3702  2 W 1.85-2.02
W22 0.2416 0.9249 0.9096  6 O 1.89-2.02
W23 0.7444 0.2547 0.9459  6 O 1.91-1.98
O69 0.5291 0.1036 0.0393  2 W 1.91-1.94
O70 0.5282 0.4429 0.9657  2 W 1.91-1.94
O71 0.5367 0.5943 0.3496  2 W 1.88-2.00
O72 0.2459 0.0763 0.0919  2 W 1.87-1.98
O73 0.4799 0.9271 0.3125  2 W 1.86-2.02
O74 0.4585 0.1133 0.9285  2 W 1.90-1.96
P2 0.2630 0.3837 0.2761  4 O 1.54
O75 0.0262 0.7220 0.1078  2 W 1.89-1.97
O76 0.9582 0.7255 0.9978  2 W 1.92
P3 0.7630 0.1163 0.7239  4 O 1.54
O77 0.9777 0.8919 0.3167  2 W 1.87-2.01
P4 0.7370 0.8837 0.2239  4 O 1.54
W24 0.7455 0.9232 0.8001  6 O 1.85-2.06
O78 0.4827 0.7819 0.2196  1 P 1.54
O79 0.5173 0.2819 0.2804  1 P 1.54
O80 0.2402 0.7564 0.9449  2 W 1.89-1.96

Total moment = 0.00 μB/atom
SG = P2_12_12_1

No. 4
LiMnF4 | GGA+U | optimized geometry

Lattice parameters (Å, degrees): 6.9107 8.4210 9.7213 96.96 106.86 100.80
Closest atoms and distances in Å follow each position.
Fractional positions:
F1 0.4512 0.7353 0.3461  1 Mn 1.90, 1 Li 1.96
F2 0.3349 0.7213 0.0271  2 Mn 1.95-2.18, 1 Li 2.11
F3 0.5488 0.2647 0.6539  1 Mn 1.90, 1 Li 1.96
Mn1 0.5301 0.0988 0.7692  4 F 1.82-1.90
F4 0.6736 0.5092 0.2752  1 Mn 1.85, 1 Li 1.89
F5 0.9551 0.1651 0.1398  1 Mn 1.83, 1 Li 1.89
F6 0.3264 0.4908 0.7248  1 Mn 1.85, 1 Li 1.89
F7 0.4690 0.8872 0.7967  1 Mn 1.82, 1 Li 1.93
Li1 0.1898 0.5994 0.3491  4 F 1.81-1.98
F8 0.0449 0.8349 0.8602  1 Mn 1.83, 1 Li 1.89
F9 0.7274 0.5722 0.5753  1 Li 1.81, 1 Mn 1.91
F10 0.9535 0.4469 0.8646  2 Mn 1.95-2.18, 1 Li 1.98
Li2 0.5229 0.3179 0.1349  4 F 1.89-2.11
F11 0.1840 0.8955 0.1926  1 Mn 1.89, 1 Li 1.96
Li3 0.8102 0.4006 0.6509  4 F 1.81-1.98
F12 0.5310 0.1128 0.2033  1 Mn 1.82, 1 Li 1.93
F13 0.0465 0.5531 0.1354  2 Mn 1.95-2.18, 1 Li 1.98
Mn2 0.7633 0.6901 0.4253  4 F 1.85-1.91
F14 0.7633 0.6963 0.9715  1 Mn 1.84, 1 Li 1.92
Li4 0.9964 0.9874 0.7335  4 F 1.84-1.96
Li5 0.0036 0.0126 0.2665  4 F 1.84-1.96
Mn3 0.9636 0.3042 0.0092  4 F 1.83-1.95
F15 0.2367 0.3037 0.0285  1 Mn 1.84, 1 Li 1.92
F16 0.2726 0.4278 0.4247  1 Li 1.81, 1 Mn 1.91
F17 0.8160 0.1045 0.8074  1 Mn 1.89, 1 Li 1.96
F18 0.0454 0.7234 0.4288  1 Li 1.82, 1 Mn 1.91
F19 0.1818 0.1111 0.4506  1 Li 1.84, 1 Mn 1.85
F20 0.2622 0.1262 0.7449  1 Mn 1.86, 1 Li 1.95
F21 0.6651 0.2787 0.9729  2 Mn 1.95-2.18, 1 Li 2.11
F22 0.8182 0.8889 0.5494  1 Li 1.84, 1 Mn 1.85
Mn4 0.0364 0.6958 0.9908  4 F 1.83-1.95
Mn5 0.4699 0.9012 0.2308  4 F 1.82-1.90
Li6 0.4771 0.6821 0.8651  4 F 1.89-2.11
Mn6 0.2367 0.3099 0.5747  4 F 1.85-1.91
F23 0.9546 0.2766 0.5712  1 Li 1.82, 1 Mn 1.91
F24 0.7378 0.8738 0.2551  1 Mn 1.86, 1 Li 1.95

Total moment = 0.67 μB/atom
SG = P-1

No. 5
SrSmNi4O12 | GGA+U | optimized geometry

Lattice parameters (Å, degrees): 5.3890 5.3890 7.6324 90.00 90.00 90.00
Closest atoms and distances in Å follow each position.
Fractional positions:
O1 0.2621 0.7379 0.2637  2 Ni 1.91
Ni1 0.0000 0.5000 0.7507  6 O 1.90-1.91
O2 0.7379 0.2621 0.2637  2 Ni 1.91
Ni2 0.5000 0.0000 0.2493  6 O 1.90-1.91
Ni3 0.0000 0.5000 0.2493  6 O 1.90-1.91
O3 0.5000 0.0000 0.0000  2 Ni 1.90
O4 0.5000 0.0000 0.5000  2 Ni 1.91
O5 0.2621 0.2621 0.7363  2 Ni 1.91
O6 0.0000 0.5000 0.0000  2 Ni 1.90
O7 0.7379 0.7379 0.2637  2 Ni 1.91
O8 0.0000 0.5000 0.5000  2 Ni 1.91
O9 0.7379 0.2621 0.7363  2 Ni 1.91
Ni4 0.5000 0.0000 0.7507  6 O 1.90-1.91
O10 0.7379 0.7379 0.7363  2 Ni 1.91
Sr1 0.0000 0.0000 0.0000  12 O 2.69-2.84
O11 0.2621 0.7379 0.7363  2 Ni 1.91
O12 0.2621 0.2621 0.2637  2 Ni 1.91
Sm1 0.5000 0.5000 0.5000  12 O 2.56-2.69

Total moment = 0.62 μB/atom
SG = P4/mmm

E (MP2020) (computed, eV per atom): -6.982, -4.910, -9.001, -5.986, -6.016
ΔH_f (0 K) (computed, eV/atom): -2.124, -2.710, -2.256, -2.864, -1.077